DFT (r2SCAN) results for a relaxed structure of Y2InCu2.

Space group: P4/mbm
Energy of formation from the pure elements in eV/atom: -0.436
E_tot in eV/f.u.: -87.078

Unit cell a=7.4667 b=7.4667 c=3.7907 alpha=90.00 beta=90.00 gamma=90.00
Atoms (fractional coordinates):
1 Cu 0.6199 0.8801 0.0000
2 Y 0.3272 0.8272 0.5000
3 In 0.5000 0.5000 0.0000
4 Y 0.8272 0.6728 0.5000
5 Cu 0.3801 0.1199 0.0000
6 Cu 0.1199 0.6199 0.0000
7 Y 0.1728 0.3272 0.5000
8 Y 0.6728 0.1728 0.5000
9 In 0.0000 0.0000 0.0000
10 Cu 0.8801 0.3801 0.0000